Entry from Materials Project: a relaxed Sr3Fe2O4F4 crystal (GGA+U).

Cell and atoms, written as extended XYZ:
```
13
Lattice="-1.9837 1.9837 11.3090 1.9837 -1.9837 11.3090 1.9837 1.9837 -11.3090" Properties=species:S:1:pos:R:3 pbc="T T T"
F 0.0000 0.0000 0.0000
O 0.0000 1.9837 9.2315
Fe 0.0000 0.0000 2.0632
O 1.9837 0.0000 1.9659
F 0.0000 0.0000 4.0701
F 0.0000 0.0000 18.5480
Sr 0.0000 0.0000 7.4200
F 1.9837 0.0000 5.6545
Sr 0.0000 0.0000 11.3090
O 1.9837 0.0000 9.3431
Fe 0.0000 0.0000 20.5549
O 0.0000 1.9837 2.0775
Sr 0.0000 0.0000 15.1981
```

## Properties
crystal system: tetragonal
total energy after the MP2020 corrections: -6.722 eV per atom
size of the total moment: 10.0 μB per cell
volume: 178.0 Å³/cell

Entry from Materials Project: a relaxed Na2Fe3P3O12 crystal (GGA+U).

Cell and atoms, written as extended XYZ:
```
40
Lattice="6.3281 5.9604 0.0000 -6.3281 5.9604 0.0000 0.0000 2.7144 6.0303" Properties=species:S:1:pos:R:3 pbc="T T T"
Fe -2.9149 7.9963 4.5228
O -2.2208 11.4877 4.8540
O 2.2208 3.1476 1.1763
Na 6.1287 7.9963 4.5228
O -4.2603 6.4694 5.3524
O -1.2707 9.3046 4.0241
O 1.2707 7.9474 1.0089
P -2.6429 6.6390 1.5076
O -3.5438 6.7156 2.7849
O 1.6913 6.7831 4.5517
O 0.0122 11.5235 3.6541
P 1.3719 3.8216 2.3074
O -4.2603 9.5232 3.6931
Fe 2.0524 4.9800 5.2779
O -1.2707 6.6880 5.0214
Na 0.0000 5.9604 0.0000
O 0.0122 4.4691 5.3914
O -0.0122 10.1663 0.6389
O -1.6913 7.8522 1.4787
O 3.5438 7.9197 3.2454
P 1.3719 9.4565 0.7078
Fe -2.0524 3.6228 2.2627
Fe 2.9149 6.6390 1.5076
O 2.2208 10.1304 1.8388
Fe -2.0524 9.6553 0.7524
O -3.5438 6.5625 0.2303
O -0.0122 3.1118 2.3763
O -2.2208 4.5049 4.1915
Na 0.0000 7.3177 3.0152
O 3.5438 8.0728 5.8001
O 4.2603 5.1121 2.3372
Na -6.1287 6.6390 1.5076
O 4.2603 8.1660 0.6779
Fe 2.0524 11.0125 3.7676
P 2.6429 7.9963 4.5228
P -1.3719 10.8138 3.7230
P -1.3719 5.1788 5.3225
O -1.6913 5.4258 1.5365
O 1.6913 9.2095 4.4938
O 1.2707 5.3307 2.0063
```

## Properties
crystal system: monoclinic
total energy after the MP2020 corrections: -7.574 eV per atom
size of the total moment: 26.0 μB per cell
volume: 454.9 Å³/cell
excess energy over the best structure of this formula in the dataset: 0.000 eV/atom

Entry from Materials Project: a relaxed FeOF crystal (GGA+U).

Cell and atoms, written as extended XYZ:
```
18
Lattice="-1.5875 -2.0173 -1.7449 0.7645 -3.3716 3.2025 -11.9543 3.5713 6.7474" Properties=species:S:1:pos:R:3 pbc="T T T"
F -4.9935 -2.2152 4.3435
O -8.9429 1.7097 6.1599
Fe -6.6247 -0.8748 4.2779
F -2.2488 -1.5048 3.7858
Fe -7.9825 2.3775 4.5139
Fe -2.2175 -2.1196 1.7074
F -3.8199 -0.7779 1.6140
F -4.9731 0.5096 3.9355
F -11.7910 1.6520 6.0570
Fe -4.0113 1.1962 2.2666
Fe -10.1749 0.2415 6.2174
F -10.2008 0.8575 8.2895
O -0.9664 -0.6578 1.6397
O -0.9342 -3.4997 2.1353
O -8.9169 -1.1387 6.6685
O -7.8565 0.5071 3.8010
Fe 0.6440 -3.3077 3.2383
O -6.2459 -0.3359 6.0710
```

## Properties
crystal system: monoclinic
total energy after the MP2020 corrections: -7.105 eV per atom
size of the total moment: 28.2 μB per cell
volume: 207.5 Å³/cell

Entry from Materials Project: a relaxed CeFeAsO crystal (GGA+U).

Cell and atoms, written as extended XYZ:
```
8
Lattice="-1.2011 -0.2000 3.7826 -1.3793 -3.6726 -0.6322 7.9614 -3.3943 2.3485" Properties=species:S:1:pos:R:3 pbc="T T T"
O -1.2902 -1.9363 1.5752
Ce 6.1697 -4.7607 1.7073
O 0.0000 0.0000 0.0000
Fe 3.9807 -1.6971 1.1743
Fe 2.6905 -3.6335 2.7495
As 1.7886 -2.8929 0.4150
As 4.8826 -2.4377 3.5087
Ce 0.5016 -0.5699 2.2164
```

## Properties
crystal system: tetragonal
total energy after the MP2020 corrections: -7.190 eV per atom
size of the total moment: 2.7 μB per cell
volume: 141.6 Å³/cell
excess energy over the best structure of this formula in the dataset: 0.514 eV/atom

Entry from Materials Project: a relaxed FeBiO3 crystal (GGA+U).

Cell and atoms, written as extended XYZ:
```
5
Lattice="1.7048 3.6432 3.6443 -3.2803 4.2967 0.4886 -2.9013 0.0196 4.5872" Properties=species:S:1:pos:R:3 pbc="T T T"
O -2.5909 2.6178 1.2765
O 0.3293 3.1112 2.3253
O -1.4082 0.7959 3.5466
Bi -0.0885 0.1573 0.1724
Fe -1.2288 2.1847 2.3935
```

## Properties
crystal system: trigonal
total energy after the MP2020 corrections: -6.675 eV per atom
size of the total moment: 5.0 μB per cell
volume: 128.4 Å³/cell

Entry from Materials Project: a relaxed Mg3Fe4Sb6O24 crystal (GGA+U).

Cell and atoms, written as extended XYZ:
```
37
Lattice="-1.9979 -3.0871 5.8709 2.1339 -6.4414 -4.8124 8.9403 4.5863 2.1612" Properties=species:S:1:pos:R:3 pbc="T T T"
Sb 0.5051 -3.0519 2.4973
O 3.1640 0.7099 2.7626
O 3.4775 -7.2770 1.1865
Sb 5.6666 -1.3181 4.4859
Fe 8.5960 -3.5107 3.9484
Sb 3.4097 -3.6241 -1.2663
O 5.9123 -5.6521 0.4570
O 1.2555 -1.4364 3.1265
O 7.9130 -5.0106 2.7757
O 10.0415 -1.2846 -0.2930
O 1.1634 0.0684 0.4439
Fe 2.3374 -0.4106 4.2993
O 0.4299 -6.7776 0.2774
O 5.5988 2.3348 2.0331
O 2.0528 -2.5646 -0.5114
O 7.8209 -3.5058 0.0931
Fe 6.7389 -4.5316 -1.0797
Sb 8.5712 -1.8903 0.7223
O 5.9892 -0.9957 6.3510
O 4.1910 -0.6988 0.1176
O 8.6464 1.8354 2.9422
O 3.0871 -3.9465 -3.1314
O 7.0235 -2.3776 3.7310
Fe 0.4803 -1.4316 -0.7288
O 3.8295 -1.8961 4.3616
Mg 7.0850 0.9228 1.9636
O 4.8853 -4.2434 3.1020
O 5.2468 -3.0461 -1.1421
O -0.9652 -3.6576 3.5125
O 7.1783 -0.5925 0.6217
Sb 6.0938 -5.4492 2.3698
O 5.8832 0.2933 3.4820
Sb 2.9825 0.5070 0.8498
O 3.1931 -5.2356 -0.2624
O 1.8980 -4.3498 2.5979
Mg 1.9913 -5.8650 1.2560
Mg 5.5371 -0.9276 -1.3256
```

## Properties
crystal system: triclinic
total energy after the MP2020 corrections: -6.804 eV per atom
size of the total moment: 20.0 μB per cell
volume: 526.3 Å³/cell